(1)
Density functional theory data (PBE) for crystalline Na6Al8Si3S9O48 at its relaxed geometry.

Geometry as POSCAR:
```
Na6Al8Si3S9O48
1.0
8.4202 0.0000 0.0000
-0.0070 14.6923 0.0000
-0.0335 -0.0817 21.7341
Na Al Si S O
18 24 9 27 144
direct
0.0000 0.0000 0.0000
0.9998 0.0007 0.5033
0.9998 0.3232 0.1696
0.1362 0.4908 0.2551
0.1361 0.8335 0.9135
0.3551 0.3328 0.4176
0.3556 0.9925 0.7466
0.4873 0.8303 0.6656
0.4900 0.4997 0.5015
0.4955 0.1634 0.8319
0.4993 0.1558 0.3349
0.5007 0.4990 0.9992
0.5049 0.8316 0.1713
0.6365 0.3334 0.9130
0.8518 0.8341 0.4170
0.9850 0.3285 0.6699
0.9911 0.6566 0.8318
0.9941 0.6648 0.3358
0.0010 0.6568 0.4822
0.0022 0.3308 0.5193
0.0050 0.3309 0.3165
0.0067 0.9922 0.8516
0.0119 0.9924 0.6479
0.4862 0.4917 0.3552
0.4875 0.4921 0.1514
0.4875 0.8329 0.0179
0.4878 0.8336 0.8132
0.4893 0.1563 0.9808
0.4913 0.1635 0.1906
0.4959 0.1485 0.4839
0.4992 0.8436 0.5227
0.5000 0.4917 0.6512
0.5007 0.1652 0.6848
0.5076 0.8381 0.3148
0.5093 0.4915 0.8503
0.9829 0.3388 0.8114
0.9844 0.9916 0.3536
0.9873 0.3316 0.0171
0.9875 0.9934 0.1533
0.9890 0.6705 0.1888
0.9896 0.6567 0.9809
0.9989 0.6646 0.6888
0.1354 0.4769 0.4183
0.1360 0.8459 0.7519
0.3481 0.0186 0.5869
0.3535 0.3469 0.2512
0.3527 0.9771 0.9176
0.6379 0.3474 0.7498
0.6391 0.9780 0.4180
0.8491 0.8498 0.2511
0.8531 0.4770 0.9184
0.1343 0.1433 0.7521
0.1362 0.1829 0.4180
0.1404 0.5187 0.0855
0.1409 0.8060 0.0837
0.2039 0.1624 0.0849
0.2105 0.4954 0.7510
0.2133 0.8292 0.4178
0.2775 0.3293 0.9185
0.2800 0.9952 0.2508
0.2861 0.6604 0.5852
0.3496 0.3077 0.5835
0.3542 0.6414 0.2502
0.3547 0.6831 0.9189
0.6340 0.6832 0.4188
0.6381 0.6402 0.7505
0.6403 0.0191 0.0852
0.6403 0.3055 0.0844
0.7030 0.6623 0.0847
0.7128 0.3296 0.4181
0.7163 0.9950 0.7516
0.7777 0.4952 0.2505
0.7775 0.8293 0.9188
0.7869 0.1643 0.5842
0.8500 0.5191 0.5853
0.8501 0.8031 0.5841
0.8518 0.1403 0.2508
0.8543 0.1830 0.9186
0.0572 0.5764 0.4264
0.0575 0.7465 0.7434
0.0588 0.1043 0.6968
0.0592 0.4327 0.3559
0.0609 0.2217 0.4735
0.0605 0.8891 0.8147
0.0693 0.2347 0.7618
0.0685 0.5596 0.1417
0.0686 0.7647 0.0275
0.0704 0.4265 0.0786
0.0713 0.8980 0.0899
0.0722 0.0912 0.4083
0.0994 0.7509 0.4252
0.1023 0.0801 0.0922
0.1021 0.5739 0.7435
0.1027 0.2448 0.0772
0.1103 0.2412 0.3630
0.1108 0.0841 0.8072
0.1116 0.5767 0.0312
0.1119 0.7477 0.1378
0.1140 0.9164 0.6958
0.1162 0.4068 0.4755
0.1162 0.9131 0.4117
0.1178 0.4105 0.7576
0.1558 0.0102 0.5913
0.1591 0.3379 0.2579
0.1586 0.9868 0.9112
0.1728 0.3146 0.5780
0.1775 0.6444 0.2412
0.1781 0.6796 0.9281
0.1811 0.3407 0.9754
0.1830 0.9835 0.1940
0.1837 0.0146 0.3058
0.1844 0.3097 0.8635
0.1862 0.6755 0.6402
0.1866 0.6444 0.5296
0.3026 0.1474 0.0294
0.3033 0.1775 0.1399
0.3060 0.8095 0.3616
0.3071 0.4833 0.6949
0.3075 0.5143 0.8068
0.3093 0.1486 0.7459
0.3098 0.8396 0.4735
0.3120 0.1807 0.4245
0.3166 0.5119 0.0907
0.3171 0.8123 0.0784
0.3299 0.4859 0.4115
0.3307 0.8378 0.7581
0.3694 0.9081 0.9763
0.3700 0.4167 0.1931
0.3727 0.9104 0.2567
0.3747 0.4134 0.9136
0.3755 0.0822 0.5277
0.3761 0.5831 0.3048
0.3767 0.7412 0.8645
0.3783 0.2517 0.6380
0.3855 0.5770 0.5930
0.3881 0.0743 0.2426
0.3882 0.7404 0.5771
0.3906 0.2510 0.9272
0.4163 0.7333 0.2590
0.4175 0.4013 0.5902
0.4174 0.5911 0.9102
0.4221 0.2698 0.5265
0.4275 0.9174 0.5801
0.4286 0.0643 0.6488
0.4296 0.6023 0.1942
0.4300 0.7219 0.9752
0.4309 0.3937 0.3121
0.4313 0.9305 0.8574
0.4317 0.0762 0.9264
0.4326 0.2481 0.2423
0.5558 0.9322 0.3586
0.5567 0.2473 0.7412
0.5577 0.3889 0.8128
0.5598 0.6020 0.6951
0.5595 0.7212 0.4741
0.5648 0.0786 0.4245
0.5665 0.0605 0.1402
0.5685 0.2653 0.0278
0.5701 0.3982 0.0910
0.5698 0.9265 0.0781
0.5718 0.5903 0.4087
0.5729 0.7325 0.7600
0.6010 0.2524 0.4250
0.6022 0.5799 0.0921
0.6023 0.7446 0.0772
0.6081 0.0743 0.7478
0.6107 0.2479 0.1384
0.6114 0.4143 0.6918
0.6117 0.5845 0.8065
0.6121 0.7403 0.3630
0.6125 0.0760 0.0301
0.6168 0.4147 0.4122
0.6180 0.9105 0.7573
0.6254 0.9067 0.4752
0.6583 0.8359 0.2576
0.6589 0.4867 0.9110
0.6741 0.5121 0.5909
0.6754 0.8066 0.5777
0.6777 0.1452 0.2415
0.6776 0.1794 0.9282
0.6812 0.4838 0.1940
0.6809 0.8405 0.9754
0.6833 0.5145 0.3058
0.6836 0.8098 0.8636
0.6897 0.1513 0.5280
0.6911 0.1836 0.6394
0.8022 0.6472 0.0295
0.8026 0.6770 0.1399
0.8080 0.3118 0.3622
0.8099 0.3421 0.4740
0.8114 0.6786 0.4269
0.8112 0.9838 0.6954
0.8118 0.6450 0.7419
0.8128 0.0106 0.8079
0.8162 0.0120 0.0909
0.8165 0.3128 0.0789
0.8291 0.3362 0.7573
0.8338 0.9870 0.4112
0.8679 0.4091 0.9779
0.8740 0.4113 0.2559
0.8740 0.9132 0.9138
0.8764 0.2406 0.8645
0.8758 0.9129 0.1908
0.8772 0.5757 0.5300
0.8791 0.0843 0.3057
0.8813 0.7456 0.6383
0.8819 0.0814 0.5924
0.8899 0.5735 0.2426
0.8898 0.7508 0.9269
0.8915 0.2463 0.5760
0.9165 0.8954 0.5910
0.9170 0.0907 0.9106
0.9167 0.2328 0.2591
0.9203 0.4268 0.5783
0.9236 0.5604 0.6405
0.9250 0.7629 0.5275
0.9292 0.1025 0.1945
0.9297 0.2216 0.9753
0.9313 0.5766 0.9269
0.9311 0.7493 0.2434
0.9320 0.8925 0.3121
0.9352 0.4291 0.8603
```

Results
* space group: No. 1
* size of the total moment: 0.0 μB/f.u.



(2)
Density functional theory data (PBE) for crystalline Cr2Pb3N4 at its relaxed geometry.

Geometry as POSCAR:
```
Cr2Pb3N4
1.0
5.9319 -4.5376 0.0000
5.9319 4.5376 0.0000
-0.7580 0.0000 5.8429
Cr Pb N
4 6 8
direct
0.1201 0.3447 0.4855
0.3447 0.1201 0.9855
0.6553 0.8799 0.0145
0.8799 0.6553 0.5145
0.0654 0.9346 0.2500
0.2731 0.5623 0.9578
0.4377 0.7269 0.5422
0.5623 0.2731 0.4578
0.7269 0.4377 0.0422
0.9346 0.0654 0.7500
0.1373 0.5854 0.5513
0.2226 0.2268 0.2319
0.2268 0.2226 0.7319
0.4146 0.8627 0.9487
0.5854 0.1373 0.0513
0.7732 0.7774 0.2681
0.7774 0.7732 0.7681
0.8627 0.4146 0.4487
```

Results
* space group: No. 15
* size of the total moment: 0.0 μB/f.u.



(3)
Density functional theory data (PBE) for crystalline In2Se3O12 at its relaxed geometry.

Geometry as POSCAR:
```
In2Se3O12
1.0
9.0669 0.0000 0.0000
0.0000 9.3121 0.0000
-8.8828 0.0000 12.7032
In Se O
8 12 48
direct
0.1338 0.0327 0.3853
0.1338 0.4673 0.8853
0.3653 0.0355 0.1149
0.3653 0.4645 0.6149
0.6347 0.5355 0.3851
0.6347 0.9645 0.8851
0.8662 0.5327 0.1147
0.8662 0.9673 0.6147
0.0371 0.6159 0.6466
0.0371 0.8841 0.1466
0.2561 0.1197 0.6538
0.2561 0.3803 0.1538
0.4567 0.7479 0.9960
0.4567 0.7521 0.4960
0.5433 0.2479 0.5040
0.5433 0.2521 0.0040
0.7439 0.6197 0.8462
0.7439 0.8803 0.3462
0.9629 0.1159 0.8534
0.9629 0.3841 0.3534
0.0409 0.7201 0.1915
0.0409 0.7799 0.6915
0.1169 0.0068 0.2413
0.1169 0.4932 0.7413
0.1184 0.0819 0.6895
0.1184 0.4181 0.1895
0.1511 0.0957 0.5250
0.1511 0.4043 0.0250
0.1690 0.6165 0.6028
0.1690 0.8835 0.1028
0.1765 0.0725 0.9476
0.1765 0.4275 0.4476
0.2516 0.6802 0.9465
0.2516 0.8198 0.4465
0.3068 0.2067 0.1841
0.3068 0.2933 0.6841
0.3893 0.1216 0.4340
0.3893 0.3784 0.9340
0.4383 0.0134 0.7179
0.4383 0.4866 0.2179
0.4628 0.6940 0.3958
0.4628 0.8060 0.8958
0.4999 0.1210 0.9188
0.4999 0.3790 0.4188
0.5001 0.6210 0.5812
0.5001 0.8790 0.0812
0.5372 0.1940 0.1042
0.5372 0.3060 0.6042
0.5617 0.5134 0.7821
0.5617 0.9866 0.2821
0.6107 0.6216 0.0660
0.6107 0.8784 0.5660
0.6932 0.7067 0.3159
0.6932 0.7933 0.8159
0.7484 0.1802 0.5535
0.7484 0.3198 0.0535
0.8235 0.5725 0.5524
0.8235 0.9275 0.0524
0.8310 0.1165 0.8972
0.8310 0.3835 0.3972
0.8489 0.5957 0.9750
0.8489 0.9043 0.4750
0.8816 0.5819 0.8105
0.8816 0.9181 0.3105
0.8831 0.5068 0.2587
0.8831 0.9932 0.7587
0.9591 0.2201 0.3085
0.9591 0.2799 0.8085
```

Results
* space group: No. 14



(4)
Density functional theory data (PBE) for crystalline CsFe2P2 at its relaxed geometry.

Geometry as POSCAR:
```
CsFe2P2
1.0
-1.9188 1.9188 7.1500
1.9188 -1.9188 7.1500
1.9188 1.9188 -7.1500
Cs Fe P
1 2 2
direct
0.0000 0.0000 0.0000
0.2500 0.7500 0.5000
0.7500 0.2500 0.5000
0.3245 0.3245 0.0000
0.6755 0.6755 0.0000
```

Results
* space group: No. 139



(5)
Density functional theory data (PBE) for crystalline K2BrCl6F at its relaxed geometry.

Geometry as POSCAR:
```
K2BrCl6F
1.0
0.0000 5.0620 5.0620
5.0620 0.0000 5.0620
5.0620 5.0620 0.0000
K Br Cl F
2 1 6 1
direct
0.2500 0.2500 0.2500
0.7500 0.7500 0.7500
0.0000 0.0000 0.0000
0.2433 0.2433 0.7567
0.2433 0.7567 0.2433
0.2433 0.7567 0.7567
0.7567 0.2433 0.2433
0.7567 0.2433 0.7567
0.7567 0.7567 0.2433
0.5000 0.5000 0.5000
```

Results
* space group: No. 225
* size of the total moment: 0.0 μB/f.u.



(6)
Density functional theory data (PBE) for crystalline GdAsO4 at its relaxed geometry.

Geometry as POSCAR:
```
GdAsO4
1.0
6.7089 0.0000 0.0000
0.0000 7.0773 0.0000
-4.8736 0.0000 6.6459
Gd As O
4 4 16
direct
0.1901 0.1472 0.2817
0.1901 0.3528 0.7817
0.8099 0.6472 0.2183
0.8099 0.8528 0.7183
0.3110 0.6613 0.1989
0.3110 0.8387 0.6989
0.6890 0.1613 0.3011
0.6890 0.3387 0.8011
0.1074 0.6525 0.6046
0.1074 0.8475 0.1046
0.1661 0.0063 0.7459
0.1661 0.4937 0.2459
0.3555 0.6053 0.0182
0.3555 0.8947 0.5182
0.3850 0.2125 0.1122
0.3850 0.2875 0.6122
0.6150 0.7125 0.3878
0.6150 0.7875 0.8878
0.6445 0.1053 0.4818
0.6445 0.3947 0.9818
0.8339 0.5063 0.7541
0.8339 0.9937 0.2541
0.8926 0.1525 0.8954
0.8926 0.3475 0.3954
```

Results
* space group: No. 14
* size of the total moment: 7.0 μB/f.u.



Number 1: density 2.77 Mg/m³, energy of formation from the pure elements -2.493 eV/atom. Number 2: density 8.25 Mg/m³, energy of formation from the pure elements -0.069 eV/atom. Number 3: density 4.08 Mg/m³, energy of formation from the pure elements -1.373 eV/atom. Number 4: density 4.83 Mg/m³, energy of formation from the pure elements -0.488 eV/atom. Number 5: density 2.50 Mg/m³, energy of formation from the pure elements -0.789 eV/atom. Number 6: density 6.23 Mg/m³, energy of formation from the pure elements -2.761 eV/atom.